(1)
Entry from the Materials Project database: a geometry-optimized TaPRu structure (PBE).

POSCAR file:
```
TaPRu
1.0
0.000 2.975 2.975
2.975 0.000 2.975
2.975 2.975 0.000
Ta P Ru
1 1 1
direct
0.250 0.250 0.250
0.000 0.000 0.000
0.500 0.500 0.500
```

- size of the total moment (μB per formula unit) = 0.0
- volume (Å³/atom) = 17.6
- ΔH_f (0 K) (eV per formula unit) = 0.09
- space group = F-43m

***

(2)
Entry from the Materials Project database: a geometry-optimized TaPRu structure (PBE).

POSCAR file:
```
TaPRu
1.0
3.736 0.000 0.000
0.000 6.336 0.000
0.000 0.000 7.208
Ta P Ru
4 4 4
direct
0.250 0.024 0.829
0.250 0.524 0.671
0.750 0.976 0.171
0.750 0.476 0.329
0.250 0.768 0.375
0.250 0.268 0.125
0.750 0.232 0.625
0.750 0.732 0.875
0.250 0.145 0.436
0.250 0.645 0.064
0.750 0.855 0.564
0.750 0.355 0.936
```

- volume (Å³/atom) = 14.2
- ΔH_f (0 K) (eV per formula unit) = -2.34
- space group = Pnma

***

(3)
Entry from the Materials Project database: a geometry-optimized TbP12Ru4 structure (PBE).

POSCAR file:
```
TbP12Ru4
1.0
-4.041 4.041 4.041
4.041 -4.041 4.041
4.041 4.041 -4.041
Tb P Ru
1 12 4
direct
0.000 0.000 0.000
0.143 0.786 0.643
0.143 0.500 0.357
0.857 0.500 0.643
0.357 0.143 0.500
0.786 0.643 0.143
0.857 0.214 0.357
0.643 0.143 0.786
0.500 0.643 0.857
0.643 0.857 0.500
0.500 0.357 0.143
0.357 0.857 0.214
0.214 0.357 0.857
0.500 0.000 0.000
0.500 0.500 0.500
0.000 0.500 0.000
0.000 0.000 0.500
```

- size of the total moment (μB per formula unit) = 0.0
- volume (Å³/atom) = 15.5
- ΔH_f (0 K) (eV per formula unit) = -10.89
- space group = Im-3

***

(4)
Entry from the Materials Project database: a geometry-optimized TbP2Ru2 structure (PBE).

POSCAR file:
```
TbP2Ru2
1.0
-2.030 2.030 4.807
2.030 -2.030 4.807
2.030 2.030 -4.807
Tb P Ru
1 2 2
direct
0.000 0.000 0.000
0.375 0.375 0.000
0.625 0.625 0.000
0.250 0.750 0.500
0.750 0.250 0.500
```

- volume (Å³/atom) = 15.9
- ΔH_f (0 K) (eV per formula unit) = -5.20
- space group = I4/mmm

***

(5)
Entry from the Materials Project database: a geometry-optimized ThP12Ru4 structure (PBE).

POSCAR file:
```
ThP12Ru4
1.0
0.037 2.508 6.547
-6.472 0.486 -2.653
2.003 -6.719 0.060
Th P Ru
1 12 4
direct
0.000 0.000 0.000
0.856 0.644 0.500
0.144 0.356 0.500
0.144 0.644 0.788
0.856 0.356 0.212
0.644 0.500 0.856
0.356 0.500 0.144
0.644 0.788 0.144
0.356 0.212 0.856
0.500 0.856 0.644
0.500 0.144 0.356
0.212 0.856 0.356
0.788 0.144 0.644
0.500 0.500 0.500
0.500 0.000 0.000
0.000 0.500 0.000
0.000 0.000 0.500
```

- volume (Å³/atom) = 15.6
- ΔH_f (0 K) (eV per formula unit) = -11.82
- space group = Im-3

***

(6)
Entry from the Materials Project database: a geometry-optimized YP2Ru2 structure (PBE).

POSCAR file:
```
YP2Ru2
1.0
-2.030 2.030 4.803
2.030 -2.030 4.803
2.030 2.030 -4.803
Y P Ru
1 2 2
direct
0.000 0.000 0.000
0.375 0.375 0.000
0.625 0.625 0.000
0.250 0.750 0.500
0.750 0.250 0.500
```

- volume (Å³/atom) = 15.8
- ΔH_f (0 K) (eV per formula unit) = -5.18
- space group = I4/mmm

***

(7)
Entry from the Materials Project database: a geometry-optimized ZrPRu structure (PBE).

POSCAR file:
```
ZrPRu
1.0
-5.171 0.758 3.813
0.130 -4.776 -4.362
1.578 -2.337 2.606
Zr P Ru
3 3 3
direct
0.415 0.415 0.500
0.585 0.000 0.500
0.000 0.585 0.500
0.667 0.333 0.000
0.333 0.667 0.000
0.000 0.000 0.500
0.755 0.755 0.000
0.245 0.000 0.000
0.000 0.245 0.000
```

- volume (Å³/atom) = 15.5
- ΔH_f (0 K) (eV per formula unit) = -3.31
- space group = P-62m

***

(8)
Entry from the Materials Project database: a geometry-optimized ZrPRu structure (PBE).

POSCAR file:
```
ZrPRu
1.0
3.897 0.000 0.000
0.000 6.477 0.000
0.000 0.000 7.378
Zr P Ru
4 4 4
direct
0.750 0.522 0.319
0.250 0.978 0.819
0.750 0.022 0.181
0.250 0.478 0.681
0.250 0.724 0.121
0.250 0.224 0.379
0.750 0.276 0.879
0.750 0.776 0.621
0.250 0.349 0.060
0.250 0.849 0.440
0.750 0.151 0.560
0.750 0.651 0.940
```

- volume (Å³/atom) = 15.5
- ΔH_f (0 K) (eV per formula unit) = -3.37
- space group = Pnma

***

(9)
Entry from the Materials Project database: a geometry-optimized P4S5 structure (PBE).

POSCAR file:
```
P4S5
1.0
11.562 0.000 0.000
0.000 6.921 0.000
0.000 2.923 6.923
P S
8 10
direct
0.986 0.680 0.605
0.486 0.320 0.395
0.865 0.464 0.528
0.365 0.536 0.472
0.743 0.741 0.446
0.243 0.259 0.554
0.764 0.486 0.925
0.264 0.514 0.075
0.929 0.630 0.889
0.429 0.370 0.111
0.798 0.266 0.791
0.298 0.734 0.209
0.658 0.706 0.708
0.158 0.294 0.292
0.888 0.940 0.403
0.388 0.060 0.597
0.631 0.827 0.237
0.131 0.173 0.763
```

- volume (Å³/atom) = 30.8
- ΔH_f (0 K) (eV per formula unit) = -3.97
- largest piezoelectric modulus (C/m²) = 0.20
- space group = P2_1

***

(10)
Entry from the Materials Project database: a geometry-optimized PS structure (PBE).

POSCAR file:
```
PS
1.0
4.863 5.402 0.000
-4.863 5.402 0.000
0.000 2.141 9.379
P S
8 8
direct
0.792 0.196 0.419
0.804 0.208 0.081
0.208 0.804 0.581
0.196 0.792 0.919
0.764 0.515 0.145
0.485 0.236 0.355
0.236 0.485 0.855
0.515 0.764 0.645
0.483 0.517 0.250
0.517 0.483 0.750
0.939 0.061 0.250
0.061 0.939 0.750
0.886 0.464 0.335
0.536 0.114 0.165
0.114 0.536 0.665
0.464 0.886 0.835
```

- volume (Å³/atom) = 30.8
- ΔH_f (0 K) (eV per formula unit) = -0.78
- space group = C2/c

***

(11)
Entry from the Materials Project database: a geometry-optimized P2S7 structure (PBE).

POSCAR file:
```
P2S7
1.0
6.413 0.000 0.000
0.481 6.607 0.000
0.312 1.555 11.565
P S
4 14
direct
0.052 0.165 0.063
0.627 0.808 0.494
0.373 0.192 0.506
0.948 0.835 0.937
0.269 0.355 0.051
0.146 0.848 0.081
0.857 0.222 0.208
0.639 0.007 0.217
0.753 0.757 0.329
0.279 0.422 0.397
0.299 0.896 0.474
0.701 0.104 0.526
0.721 0.578 0.603
0.247 0.243 0.671
0.361 0.993 0.783
0.143 0.778 0.792
0.854 0.152 0.919
0.731 0.645 0.949
```

- volume (Å³/atom) = 27.2
- ΔH_f (0 K) (eV per formula unit) = -4.58
- space group = P-1

***

(12)
Entry from the Materials Project database: a geometry-optimized P2S3 structure (PBE).

POSCAR file:
```
P2S3
1.0
-1.181 8.878 -6.278
-3.258 -3.809 -4.773
-6.446 1.381 3.166
P S
8 12
direct
0.114 0.750 0.266
0.614 0.250 0.734
0.886 0.250 0.734
0.386 0.750 0.266
0.250 0.789 0.501
0.750 0.211 0.499
0.250 0.333 0.383
0.750 0.667 0.617
0.540 0.886 0.249
0.040 0.114 0.751
0.460 0.114 0.751
0.960 0.886 0.249
0.094 0.445 0.245
0.594 0.555 0.755
0.906 0.555 0.755
0.406 0.445 0.245
0.250 0.845 0.073
0.750 0.155 0.927
0.250 0.518 0.621
0.750 0.482 0.379
```

- volume (Å³/atom) = 27.7
- ΔH_f (0 K) (eV per formula unit) = -2.27
- space group = P2_1/m

***

(13)
Entry from the Materials Project database: a geometry-optimized P2S3 structure (PBE).

POSCAR file:
```
P2S3
1.0
10.479 0.000 0.000
0.000 4.631 0.000
0.000 4.531 10.717
P S
8 12
direct
0.301 0.880 0.228
0.699 0.120 0.772
0.801 0.120 0.272
0.199 0.880 0.728
0.187 0.590 0.020
0.813 0.410 0.980
0.687 0.410 0.480
0.313 0.590 0.520
0.358 0.331 0.097
0.642 0.669 0.903
0.858 0.669 0.403
0.142 0.331 0.597
0.127 0.776 0.154
0.873 0.224 0.846
0.627 0.224 0.346
0.373 0.776 0.654
0.216 0.976 0.378
0.784 0.024 0.622
0.716 0.024 0.122
0.284 0.976 0.878
```

- volume (Å³/atom) = 26.0
- ΔH_f (0 K) (eV per formula unit) = -2.25
- space group = P2_1/c

***

(14)
Entry from the Materials Project database: a geometry-optimized P2S5 structure (PBE).

POSCAR file:
```
P2S5
1.0
-4.419 6.363 -5.802
-2.225 -8.433 -4.522
-5.763 -2.027 7.695
P S
8 20
direct
0.744 0.188 0.903
0.256 0.812 0.097
0.077 0.281 0.837
0.923 0.719 0.163
0.738 0.294 0.570
0.262 0.706 0.430
0.823 0.974 0.659
0.177 0.026 0.341
0.654 0.191 0.049
0.346 0.809 0.951
0.975 0.284 0.997
0.025 0.716 0.003
0.637 0.297 0.730
0.363 0.703 0.270
0.721 0.978 0.819
0.279 0.022 0.181
0.287 0.368 0.923
0.713 0.632 0.077
0.969 0.391 0.666
0.031 0.609 0.334
0.054 0.072 0.754
0.946 0.928 0.246
0.642 0.393 0.414
0.358 0.607 0.586
0.717 0.085 0.488
0.283 0.915 0.512
0.802 0.784 0.584
0.198 0.216 0.416
```

- volume (Å³/atom) = 30.6
- ΔH_f (0 K) (eV per formula unit) = -3.64
- space group = P-1

***

(15)
Entry from the Materials Project database: a geometry-optimized P4S5 structure (PBE).

POSCAR file:
```
P4S5
1.0
-4.630 10.761 3.606
-3.036 0.716 -6.034
-6.630 -2.631 -0.660
P S
8 10
direct
0.750 0.289 0.641
0.250 0.711 0.359
0.750 0.856 0.228
0.250 0.144 0.772
0.845 0.428 0.153
0.345 0.572 0.847
0.155 0.572 0.847
0.655 0.428 0.153
0.750 0.635 0.558
0.250 0.365 0.442
0.880 0.759 0.091
0.380 0.241 0.909
0.120 0.241 0.909
0.620 0.759 0.091
0.880 0.231 0.476
0.380 0.769 0.524
0.120 0.769 0.524
0.620 0.231 0.476
```

- volume (Å³/atom) = 29.5
- ΔH_f (0 K) (eV per formula unit) = -3.86
- space group = P2_1/m

***

(16)
Entry from the Materials Project database: a geometry-optimized P2S3 structure (PBE).

POSCAR file:
```
P2S3
1.0
4.688 0.000 0.000
0.000 10.653 0.000
0.000 0.000 25.806
P S
4 6
direct
0.667 0.853 0.475
0.167 0.647 0.525
0.167 0.353 0.525
0.667 0.147 0.475
0.981 0.717 0.454
0.481 0.783 0.546
0.481 0.217 0.546
0.981 0.283 0.454
0.911 0.000 0.511
0.411 0.500 0.489
```

- volume (Å³/atom) = 128.9
- ΔH_f (0 K) (eV per formula unit) = -2.24
- space group = Pmn2_1

***

(17)
Entry from the Materials Project database: a geometry-optimized P2S7 structure (PBE).

POSCAR file:
```
P2S7
1.0
11.469 0.000 0.000
0.000 6.717 0.000
0.000 0.919 13.061
P S
8 28
direct
0.186 0.986 0.599
0.686 0.014 0.901
0.814 0.014 0.401
0.314 0.986 0.099
0.794 0.666 0.820
0.294 0.334 0.680
0.206 0.334 0.180
0.706 0.666 0.320
0.277 0.931 0.944
0.777 0.069 0.556
0.723 0.069 0.056
0.223 0.931 0.444
0.761 0.609 0.665
0.261 0.391 0.835
0.239 0.391 0.335
0.739 0.609 0.165
0.663 0.847 0.607
0.163 0.153 0.893
0.337 0.153 0.393
0.837 0.847 0.107
0.849 0.968 0.826
0.349 0.032 0.674
0.151 0.032 0.174
0.651 0.968 0.326
0.630 0.715 0.893
0.130 0.285 0.607
0.370 0.285 0.107
0.870 0.715 0.393
0.080 0.777 0.649
0.580 0.223 0.851
0.920 0.223 0.351
0.420 0.777 0.149
0.898 0.460 0.877
0.398 0.540 0.623
0.102 0.540 0.123
0.602 0.460 0.377
```

- volume (Å³/atom) = 28.0
- ΔH_f (0 K) (eV per formula unit) = -4.61
- space group = P2_1/c